Entry from the Materials Project database: an optimized crystal structure of PrSb2Au (PBE-GGA).

Properties
crystal system = tetragonal

a b c (Å): 4.466 4.466 10.423
angles (deg): 90.00 90.00 90.00
Positions (direct):
Pr1 0.250 0.250 0.245
Pr2 0.750 0.750 0.755
Sb1 0.250 0.250 0.676
Sb2 0.250 0.750 0.000
Sb3 0.750 0.250 0.000
Sb4 0.750 0.750 0.324
Au1 0.250 0.750 0.500
Au2 0.750 0.250 0.500


Entry from the Materials Project database: an optimized crystal structure of Pr3Sb4Au3 (PBE-GGA).

Properties
crystal system = cubic

a b c (Å): 8.797 8.797 8.797
angles (deg): 109.47 109.47 109.47
Positions (direct):
Pr1 0.125 0.750 0.875
Pr2 0.250 0.625 0.375
Pr3 0.375 0.250 0.625
Pr4 0.625 0.375 0.250
Pr5 0.750 0.875 0.125
Pr6 0.875 0.125 0.750
Sb1 0.000 0.325 0.500
Sb2 0.000 0.825 0.500
Sb3 0.175 0.175 0.175
Sb4 0.325 0.500 0.000
Sb5 0.500 0.000 0.325
Sb6 0.500 0.000 0.825
Sb7 0.675 0.675 0.675
Sb8 0.825 0.500 0.000
Au1 0.125 0.875 0.250
Au2 0.250 0.125 0.875
Au3 0.375 0.625 0.750
Au4 0.625 0.750 0.375
Au5 0.750 0.375 0.625
Au6 0.875 0.250 0.125


Entry from the Materials Project database: an optimized crystal structure of PrSi2Au2 (PBE-GGA).

Properties
crystal system = tetragonal

a b c (Å): 5.992 5.992 5.992
angles (deg): 137.20 137.20 62.13
Positions (direct):
Pr1 0.000 0.000 0.000
Si1 0.385 0.385 0.000
Si2 0.615 0.615 0.000
Au1 0.250 0.750 0.500
Au2 0.750 0.250 0.500


Entry from the Materials Project database: an optimized crystal structure of PrSnAu (PBE-GGA).

Properties
crystal system = hexagonal

a b c (Å): 4.747 4.747 8.050
angles (deg): 90.00 90.00 120.00
Positions (direct):
Pr1 0.000 0.000 0.000
Pr2 0.000 0.000 0.500
Sn1 0.333 0.667 0.250
Sn2 0.667 0.333 0.750
Au1 0.333 0.667 0.750
Au2 0.667 0.333 0.250


Entry from the Materials Project database: an optimized crystal structure of PrSnAu (PBE-GGA).

Properties
crystal system = hexagonal

a b c (Å): 4.806 4.806 7.757
angles (deg): 90.00 90.00 120.00
Positions (direct):
Pr1 0.000 0.000 0.000
Pr2 0.000 0.000 0.500
Sn1 0.333 0.667 0.224
Sn2 0.667 0.333 0.724
Au1 0.333 0.667 0.812
Au2 0.667 0.333 0.312


Entry from the Materials Project database: an optimized crystal structure of Pr5Sn3Au (PBE-GGA).

Properties
crystal system = hexagonal

a b c (Å): 9.638 9.638 6.851
angles (deg): 90.00 90.00 120.00
Positions (direct):
Pr1 0.000 0.270 0.250
Pr2 0.000 0.730 0.750
Pr3 0.270 0.000 0.250
Pr4 0.270 0.270 0.750
Pr5 0.333 0.667 0.000
Pr6 0.333 0.667 0.500
Pr7 0.667 0.333 0.000
Pr8 0.667 0.333 0.500
Pr9 0.730 0.000 0.750
Pr10 0.730 0.730 0.250
Sn1 0.000 0.381 0.750
Sn2 0.000 0.619 0.250
Sn3 0.381 0.000 0.750
Sn4 0.381 0.381 0.250
Sn5 0.619 0.000 0.250
Sn6 0.619 0.619 0.750
Au1 0.000 0.000 0.000
Au2 0.000 0.000 0.500


Entry from the Materials Project database: an optimized crystal structure of Sr2PtAu (PBE-GGA).

Properties
crystal system = orthorhombic

a b c (Å): 4.605 6.125 6.125
angles (deg): 41.67 90.00 90.00
Positions (direct):
Sr1 0.000 0.000 0.000
Sr2 0.500 0.278 0.278
Pt1 0.000 0.715 0.715
Au1 0.500 0.564 0.564


Entry from the Materials Project database: an optimized crystal structure of Sr2PtAu (PBE-GGA).

Properties
crystal system = cubic

a b c (Å): 5.326 5.326 5.326
angles (deg): 60.00 60.00 60.00
Positions (direct):
Sr1 0.250 0.250 0.250
Sr2 0.750 0.750 0.750
Pt1 0.000 0.000 0.000
Au1 0.500 0.500 0.500


Calculated ΔH_f (0 K), -0.712, -0.881, -0.619, -0.784, -0.830, -0.741, -0.805, -0.745 eV per atom (same order as the records).